(1)
BaMn2TlO6: optimized geometry, PBE with a Hubbard U. Values from VASP.

Summary:
DFT formation energy (eV/f.u.): -16.54
Energy (eV per atom): -6.138
E (MP2020) (eV per formula unit): -68.8
Magnetization (Bohr magnetons per cell): 16.13

```
&SYSTEM
  ibrav = 0, nat = 20, ntyp = 4
/
ATOMIC_SPECIES
Ba 137.33 Ba.upf
Mn 54.94 Mn.upf
Tl 204.38 Tl.upf
O 16.00 O.upf
ATOMIC_POSITIONS crystal
Ba 0.000 0.000 0.000
Ba 0.332 0.331 0.644
Mn 0.543 0.545 0.099
Mn 0.635 0.631 0.250
Mn 0.673 0.708 0.400
Mn 0.791 0.784 0.545
Tl 0.441 0.442 0.872
Tl 0.893 0.894 0.771
O 0.036 0.538 0.081
O 0.129 0.606 0.241
O 0.180 0.717 0.419
O 0.298 0.793 0.564
O 0.392 0.389 0.784
O 0.480 0.480 0.957
O 0.536 0.037 0.081
O 0.620 0.120 0.237
O 0.668 0.200 0.381
O 0.796 0.292 0.562
O 0.850 0.850 0.686
O 0.925 0.923 0.859
CELL_PARAMETERS angstrom
3.722 0.000 0.000
-0.004 3.722 0.000
-1.551 -1.714 24.004
```

=====

(2)
Ba2Mn3Tl2O10: optimized geometry, PBE with a Hubbard U. Values from VASP.

Summary:
DFT formation energy (eV/f.u.): -31.62
Energy (eV per atom): -6.192
E (MP2020) (eV per formula unit): -117.1
Magnetization (Bohr magnetons per cell): 11.14

```
&SYSTEM
  ibrav = 0, nat = 17, ntyp = 4
/
ATOMIC_SPECIES
Ba 137.33 Ba.upf
Mn 54.94 Mn.upf
Tl 204.38 Tl.upf
O 16.00 O.upf
ATOMIC_POSITIONS crystal
Ba 0.000 0.000 0.000
Ba 0.436 0.488 0.540
Mn 0.453 0.998 0.269
Mn 0.512 0.499 0.130
Mn 0.938 0.985 0.410
Tl 0.467 0.499 0.836
Tl 0.945 0.996 0.707
O 0.006 0.502 0.101
O 0.437 0.984 0.431
O 0.443 0.525 0.722
O 0.464 0.497 0.235
O 0.490 0.497 0.947
O 0.508 0.000 0.109
O 0.934 0.486 0.439
O 0.935 0.994 0.595
O 0.950 0.023 0.821
O 0.953 0.997 0.304
CELL_PARAMETERS angstrom
3.784 0.000 0.000
-0.010 3.786 0.000
-0.166 -0.066 18.175
```

=====

(3)
Ba2UMnO6: optimized geometry, PBE with a Hubbard U. Values from VASP.

Summary:
DFT formation energy (eV/f.u.): -32.60
Energy (eV per atom): -8.079
E (MP2020) (eV per formula unit): -86.6
Magnetization (Bohr magnetons per cell): 5.01

```
&SYSTEM
  ibrav = 0, nat = 10, ntyp = 4
/
ATOMIC_SPECIES
Ba 137.33 Ba.upf
U 238.03 U.upf
Mn 54.94 Mn.upf
O 16.00 O.upf
ATOMIC_POSITIONS crystal
Ba 0.250 0.250 0.250
Ba 0.750 0.750 0.750
U 0.000 0.000 0.000
Mn 0.500 0.500 0.500
O 0.244 0.244 0.756
O 0.244 0.756 0.244
O 0.244 0.756 0.756
O 0.756 0.244 0.244
O 0.756 0.244 0.756
O 0.756 0.756 0.244
CELL_PARAMETERS angstrom
0.000 4.288 4.288
4.288 0.000 4.288
4.288 4.288 0.000
```

=====

(4)
BaMn9V6O26: optimized geometry, PBE with a Hubbard U. Values from VASP.

Summary:
DFT formation energy (eV/f.u.): -96.74
Energy (eV per atom): -7.647
E (MP2020) (eV per formula unit): -364.3
Magnetization (Bohr magnetons per cell): 172.00

```
&SYSTEM
  ibrav = 0, nat = 168, ntyp = 4
/
ATOMIC_SPECIES
Ba 137.33 Ba.upf
Mn 54.94 Mn.upf
V 50.94 V.upf
O 16.00 O.upf
ATOMIC_POSITIONS crystal
Ba 0.000 0.000 0.000
Ba 0.000 0.500 0.500
Ba 0.500 0.000 0.500
Ba 0.500 0.500 0.000
Mn 0.000 0.000 0.500
Mn 0.000 0.500 0.000
Mn 0.001 0.660 0.809
Mn 0.001 0.840 0.309
Mn 0.160 0.691 0.999
Mn 0.160 0.809 0.499
Mn 0.179 0.179 0.179
Mn 0.179 0.321 0.679
Mn 0.191 0.501 0.840
Mn 0.191 0.999 0.340
Mn 0.309 0.001 0.840
Mn 0.309 0.499 0.340
Mn 0.321 0.679 0.179
Mn 0.321 0.821 0.679
Mn 0.340 0.191 0.999
Mn 0.340 0.309 0.499
Mn 0.499 0.160 0.809
Mn 0.499 0.340 0.309
Mn 0.500 0.000 0.000
Mn 0.500 0.500 0.500
Mn 0.501 0.660 0.691
Mn 0.501 0.840 0.191
Mn 0.660 0.691 0.501
Mn 0.660 0.809 0.001
Mn 0.679 0.179 0.321
Mn 0.679 0.321 0.821
Mn 0.691 0.501 0.660
Mn 0.691 0.999 0.160
Mn 0.809 0.001 0.660
Mn 0.809 0.499 0.160
Mn 0.821 0.679 0.321
Mn 0.821 0.821 0.821
Mn 0.840 0.191 0.501
Mn 0.840 0.309 0.001
Mn 0.999 0.160 0.691
Mn 0.999 0.340 0.191
V 0.075 0.594 0.245
V 0.075 0.906 0.745
V 0.094 0.245 0.425
V 0.094 0.255 0.925
V 0.245 0.075 0.594
V 0.245 0.425 0.094
V 0.255 0.575 0.594
V 0.255 0.925 0.094
V 0.406 0.745 0.425
V 0.406 0.755 0.925
V 0.425 0.094 0.245
V 0.425 0.406 0.745
V 0.575 0.594 0.255
V 0.575 0.906 0.755
V 0.594 0.245 0.075
V 0.594 0.255 0.575
V 0.745 0.075 0.906
V 0.745 0.425 0.406
V 0.755 0.575 0.906
V 0.755 0.925 0.406
V 0.906 0.745 0.075
V 0.906 0.755 0.575
V 0.925 0.094 0.255
V 0.925 0.406 0.755
O 0.001 0.006 0.331
O 0.001 0.494 0.831
O 0.006 0.169 0.501
O 0.006 0.331 0.001
O 0.008 0.173 0.180
O 0.008 0.327 0.680
O 0.022 0.170 0.855
O 0.022 0.330 0.355
O 0.145 0.522 0.330
O 0.145 0.978 0.830
O 0.149 0.649 0.851
O 0.149 0.851 0.351
O 0.156 0.666 0.164
O 0.156 0.834 0.664
O 0.164 0.156 0.666
O 0.164 0.344 0.166
O 0.166 0.164 0.344
O 0.166 0.336 0.844
O 0.169 0.501 0.006
O 0.169 0.999 0.506
O 0.170 0.645 0.522
O 0.170 0.855 0.022
O 0.173 0.180 0.008
O 0.173 0.320 0.508
O 0.180 0.008 0.173
O 0.180 0.492 0.673
O 0.320 0.508 0.173
O 0.320 0.992 0.673
O 0.327 0.680 0.008
O 0.327 0.820 0.508
O 0.330 0.145 0.522
O 0.330 0.355 0.022
O 0.331 0.001 0.006
O 0.331 0.499 0.506
O 0.334 0.664 0.344
O 0.334 0.836 0.844
O 0.336 0.656 0.666
O 0.336 0.844 0.166
O 0.344 0.166 0.164
O 0.344 0.334 0.664
O 0.351 0.149 0.851
O 0.351 0.351 0.351
O 0.355 0.022 0.330
O 0.355 0.478 0.830
O 0.478 0.670 0.855
O 0.478 0.830 0.355
O 0.492 0.673 0.180
O 0.492 0.827 0.680
O 0.494 0.669 0.501
O 0.494 0.831 0.001
O 0.499 0.506 0.331
O 0.499 0.994 0.831
O 0.501 0.006 0.169
O 0.501 0.494 0.669
O 0.506 0.169 0.999
O 0.506 0.331 0.499
O 0.508 0.173 0.320
O 0.508 0.327 0.820
O 0.522 0.170 0.645
O 0.522 0.330 0.145
O 0.645 0.522 0.170
O 0.645 0.978 0.670
O 0.649 0.649 0.649
O 0.649 0.851 0.149
O 0.656 0.666 0.336
O 0.656 0.834 0.836
O 0.664 0.156 0.834
O 0.664 0.344 0.334
O 0.666 0.164 0.156
O 0.666 0.336 0.656
O 0.669 0.501 0.494
O 0.669 0.999 0.994
O 0.670 0.645 0.978
O 0.670 0.855 0.478
O 0.673 0.180 0.492
O 0.673 0.320 0.992
O 0.680 0.008 0.327
O 0.680 0.492 0.827
O 0.820 0.508 0.327
O 0.820 0.992 0.827
O 0.827 0.680 0.492
O 0.827 0.820 0.992
O 0.830 0.145 0.978
O 0.830 0.355 0.478
O 0.831 0.001 0.494
O 0.831 0.499 0.994
O 0.834 0.664 0.156
O 0.834 0.836 0.656
O 0.836 0.656 0.834
O 0.836 0.844 0.334
O 0.844 0.166 0.336
O 0.844 0.334 0.836
O 0.851 0.149 0.649
O 0.851 0.351 0.149
O 0.855 0.022 0.170
O 0.855 0.478 0.670
O 0.978 0.670 0.645
O 0.978 0.830 0.145
O 0.992 0.673 0.320
O 0.992 0.827 0.820
O 0.994 0.669 0.999
O 0.994 0.831 0.499
O 0.999 0.506 0.169
O 0.999 0.994 0.669
CELL_PARAMETERS angstrom
12.952 0.000 0.000
0.000 12.952 0.000
0.000 0.000 12.952
```

=====

(5)
Ba2MnWO6: optimized geometry, PBE with a Hubbard U. Values from VASP.

Summary:
DFT formation energy (eV/f.u.): -27.47
Energy (eV per atom): -7.289
E (MP2020) (eV per formula unit): -83.1
Magnetization (Bohr magnetons per cell): 0.00

```
&SYSTEM
  ibrav = 0, nat = 20, ntyp = 4
/
ATOMIC_SPECIES
Ba 137.33 Ba.upf
Mn 54.94 Mn.upf
W 183.84 W.upf
O 16.00 O.upf
ATOMIC_POSITIONS crystal
Ba 0.375 0.125 0.375
Ba 0.875 0.625 0.875
Ba 0.125 0.375 0.125
Ba 0.625 0.875 0.625
Mn 0.500 0.500 0.500
Mn 0.000 0.000 0.000
W 0.750 0.250 0.750
W 0.250 0.750 0.250
O 0.103 0.368 0.632
O 0.603 0.868 0.132
O 0.868 0.132 0.397
O 0.368 0.632 0.897
O 0.632 0.368 0.103
O 0.132 0.868 0.603
O 0.632 0.368 0.632
O 0.132 0.868 0.132
O 0.397 0.132 0.868
O 0.897 0.632 0.368
O 0.868 0.132 0.868
O 0.368 0.632 0.368
CELL_PARAMETERS angstrom
-1.543 -2.364 5.182
6.846 7.316 2.017
-5.043 1.623 2.599
```

=====

Look up the E (MP2020) of the fourth one. -364.3 eV per formula unit